No. 1
Here is NaAl6Sb7Te8Cl24 after structural relaxation from the Materials Project database. Energies are from PBE-GGA.

Lattice parameters (Å, degrees): 11.9607 12.7483 12.5119 112.13 78.90 68.01
Last column: nearest neighbours and their distance in Å.
Atoms (fractional coordinates):
1 Na 0.5200 0.4698 0.0311  5 Cl 2.77-3.08
2 Al 0.8826 0.2601 0.8336  4 Cl 2.15-2.17
3 Al 0.1194 0.7403 0.1637  4 Cl 2.14-2.19
4 Al 0.4203 0.8819 0.7900  4 Cl 2.14-2.18
5 Al 0.5801 0.1179 0.2102  4 Cl 2.14-2.18
6 Al 0.5326 0.7170 0.2942  4 Cl 2.12-2.19
7 Al 0.4679 0.2849 0.7055  4 Cl 2.13-2.20
8 Sb 0.8538 0.2459 0.4599  3 Te 2.89-2.90
9 Sb 0.1457 0.7539 0.5407  3 Te 2.89-2.90
10 Sb 0.8545 0.4090 0.2311  3 Te 2.88-2.98, 1 Cl 3.11
11 Sb 0.1480 0.5895 0.7699  3 Te 2.88-2.99, 1 Cl 3.08
12 Sb 0.0001 0.5001 0.5004  6 Te 3.06-3.08
13 Sb 0.2088 0.1353 0.1991  3 Te 2.89-2.92, 1 Cl 3.19
14 Sb 0.7915 0.8635 0.8001  3 Te 2.89-2.92, 1 Cl 3.20
15 Te 0.9649 0.1392 0.1916  3 Sb 2.89-2.98
16 Te 0.0353 0.8599 0.8086  3 Sb 2.89-2.99
17 Te 0.1020 0.2246 0.4661  3 Sb 2.90-3.08
18 Te 0.8977 0.7755 0.5337  3 Sb 2.90-3.08
19 Te 0.7408 0.5082 0.4966  3 Sb 2.88-3.08
20 Te 0.2589 0.4917 0.5042  3 Sb 2.88-3.07
21 Te 0.1100 0.3877 0.2156  3 Sb 2.89-3.07
22 Te 0.8912 0.6114 0.7841  3 Sb 2.89-3.06
23 Cl 0.5204 0.8111 0.8951  1 Al 2.16
24 Cl 0.4804 0.1901 0.1053  1 Al 2.16
25 Cl 0.7111 0.7052 0.3227  1 Al 2.19
26 Cl 0.2881 0.2955 0.6784  1 Al 2.20
27 Cl 0.7481 0.3858 0.7844  1 Al 2.17
28 Cl 0.2495 0.6145 0.2176  1 Al 2.19
29 Cl 0.2340 0.0587 0.9180  1 Al 2.18
30 Cl 0.7660 0.9413 0.0821  1 Al 2.18
31 Cl 0.5314 0.5449 0.2916  1 Al 2.19
32 Cl 0.4676 0.4543 0.7037  1 Al 2.17
33 Cl 0.3753 0.7405 0.6729  1 Al 2.18
34 Cl 0.6248 0.2600 0.3267  1 Al 2.17
35 Cl 0.5562 0.6868 0.1077  1 Al 2.16
36 Cl 0.4420 0.3063 0.8898  1 Al 2.16
37 Cl 0.5461 0.9171 0.6784  1 Al 2.14
38 Cl 0.4538 0.0828 0.3213  1 Al 2.14
39 Cl 0.0141 0.0776 0.6631  1 Al 2.16
40 Cl 0.9870 0.9207 0.3371  1 Al 2.17
41 Cl 0.7674 0.2323 0.9659  1 Al 2.17
42 Cl 0.2275 0.7741 0.0347  1 Al 2.14
43 Cl 0.3574 0.8884 0.4348  1 Al 2.12
44 Cl 0.6426 0.1118 0.5660  1 Al 2.13
45 Cl 0.9809 0.3543 0.9234  1 Al 2.15
46 Cl 0.0201 0.6448 0.0770  1 Al 2.16

Summary:
SG   No. 1

---

No. 2
Here is SmSb12Os4 after structural relaxation from the Materials Project database. Energies are from PBE-GGA.

Lattice parameters (Å, degrees): 8.1581 8.1581 8.1581 109.47 109.47 109.47
Last column: nearest neighbours and their distance in Å.
Atoms (fractional coordinates):
1 Sm 0.0000 0.0000 0.0000  12 Sb 3.51
2 Sb 0.3383 0.1818 0.8434  2 Os 2.65, 1 Sb 2.95
3 Sb 0.6617 0.8182 0.1566  2 Os 2.65, 1 Sb 2.95
4 Sb 0.6617 0.5051 0.8434  2 Os 2.65, 1 Sb 2.95
5 Sb 0.3383 0.4949 0.1566  2 Os 2.65, 1 Sb 2.95
6 Sb 0.1818 0.8434 0.3383  2 Os 2.65, 1 Sb 2.95
7 Sb 0.8182 0.1566 0.6617  2 Os 2.65, 1 Sb 2.95
8 Sb 0.5051 0.8434 0.6617  2 Os 2.65, 1 Sb 2.95
9 Sb 0.4949 0.1566 0.3383  2 Os 2.65, 1 Sb 2.95
10 Sb 0.8434 0.3383 0.1818  2 Os 2.65, 1 Sb 2.95
11 Sb 0.1566 0.6617 0.8182  2 Os 2.65, 1 Sb 2.95
12 Sb 0.8434 0.6617 0.5051  2 Os 2.65, 1 Sb 2.95
13 Sb 0.1566 0.3383 0.4949  2 Os 2.65, 1 Sb 2.95
14 Os 0.0000 0.0000 0.5000  6 Sb 2.65
15 Os 0.5000 0.0000 0.0000  6 Sb 2.65
16 Os 0.0000 0.5000 0.0000  6 Sb 2.65
17 Os 0.5000 0.5000 0.5000  6 Sb 2.65

Summary:
SG   No. 204

---

No. 3
Here is TmFe4Ge2 after structural relaxation from the Materials Project database. Energies are from PBE-GGA.

Lattice parameters (Å, degrees): 3.8298 7.1478 7.1478 90.00 90.00 90.00
Last column: nearest neighbours and their distance in Å.
Atoms (fractional coordinates):
1 Tm 0.0000 0.5000 0.5000  6 Ge 2.87-2.90, 4 Fe 3.12
2 Tm 0.5000 0.0000 0.0000  6 Ge 2.87-2.90, 4 Fe 3.12
3 Fe 0.5000 0.1403 0.5871  5 Fe 2.36-2.54, 3 Ge 2.40-2.44
4 Fe 0.5000 0.8597 0.4129  5 Fe 2.36-2.54, 3 Ge 2.40-2.44
5 Fe 0.0000 0.3597 0.0871  5 Fe 2.36-2.54, 3 Ge 2.40-2.44
6 Fe 0.0000 0.6403 0.9129  5 Fe 2.36-2.54, 3 Ge 2.40-2.44
7 Fe 0.5000 0.5871 0.1403  5 Fe 2.36-2.54, 3 Ge 2.40-2.44
8 Fe 0.5000 0.4129 0.8597  5 Fe 2.36-2.54, 3 Ge 2.40-2.44
9 Fe 0.0000 0.0871 0.3597  5 Fe 2.36-2.54, 3 Ge 2.40-2.44
10 Fe 0.0000 0.9129 0.6403  5 Fe 2.36-2.54, 3 Ge 2.40-2.44
11 Ge 0.5000 0.7160 0.7160  6 Fe 2.40-2.44
12 Ge 0.5000 0.2840 0.2840  6 Fe 2.40-2.44
13 Ge 0.0000 0.7840 0.2160  6 Fe 2.40-2.44
14 Ge 0.0000 0.2160 0.7840  6 Fe 2.40-2.44

Summary:
SG   No. 136

---

No. 4
Here is CaAlO2F4 after structural relaxation from the Materials Project database. Energies are from PBE-GGA.

Lattice parameters (Å, degrees): 4.9777 6.8125 7.0615 97.86 93.78 108.88
Last column: nearest neighbours and their distance in Å.
Atoms (fractional coordinates):
1 Ca 0.6455 0.6414 0.7671  5 F 2.29-2.41, 1 O 2.53
2 Ca 0.3545 0.3586 0.2329  5 F 2.29-2.41, 1 O 2.53
3 Al 0.0122 0.2073 0.7022  4 F 1.73-1.85
4 Al 0.9878 0.7927 0.2978  4 F 1.73-1.85
5 O 0.1807 0.7288 0.7840  2 Ca 2.53-2.57, 1 O 2.67, 2 F 2.67-2.76
6 O 0.8193 0.2712 0.2160  2 Ca 2.53-2.57, 1 O 2.67, 2 F 2.67-2.76
7 O 0.8703 0.0111 0.4557  1 O 1.46
8 O 0.1297 0.9889 0.5443  1 O 1.46
9 F 0.7785 0.3486 0.7182  1 Al 1.73
10 F 0.2215 0.6514 0.2818  1 Al 1.73
11 F 0.8056 0.0009 0.8159  1 Al 1.78
12 F 0.1944 0.9991 0.1841  1 Al 1.78
13 F 0.2741 0.3303 0.9032  1 Al 1.77
14 F 0.7259 0.6697 0.0968  1 Al 1.77
15 F 0.7513 0.6141 0.4381  1 Al 1.85
16 F 0.2487 0.3859 0.5619  1 Al 1.85

Summary:
SG   No. 2

---

No. 5
Here is Na15MgTa11Si18O72 after structural relaxation from the Materials Project database. Energies are from PBE-GGA.

Lattice parameters (Å, degrees): 9.0274 9.0275 22.6025 90.17 89.84 120.19
Last column: nearest neighbours and their distance in Å.
Atoms (fractional coordinates):
1 Na 0.3649 0.3644 0.2512  4 O 2.38-2.50
2 Na 0.6338 0.6163 0.7438  4 O 2.33-2.52
3 Na 0.9820 0.3670 0.7438  4 O 2.33-2.52
4 Na 0.3853 0.0178 0.7436  4 O 2.33-2.51
5 Na 0.3113 0.3363 0.5834  6 O 2.46-2.75
6 Na 0.0244 0.6880 0.5835  6 O 2.47-2.76
7 Na 0.6635 0.9751 0.5835  5 O 2.46-2.71
8 Na 0.3018 0.9690 0.0849  5 O 2.37-2.64
9 Na 0.6993 0.0335 0.9178  5 O 2.37-2.64
10 Na 0.0004 0.0002 0.4937  6 O 2.46-2.68
11 Na 0.0003 0.0005 0.0021  6 O 2.53-2.63
12 Na 0.6659 0.3399 0.8289  6 O 2.41-2.69
13 Na 0.6745 0.3323 0.3348  6 O 2.55-2.66
14 Na 0.3338 0.6670 0.1687  6 O 2.53-2.64
15 Na 0.3335 0.6669 0.6648  6 O 2.58-2.60
16 Mg 0.6669 0.3335 0.6855  6 O 2.06-2.18
17 Ta 0.9992 0.9998 0.3552  6 O 1.96-2.02
18 Ta 0.0041 0.9997 0.8563  6 O 1.93-2.04
19 Ta 0.0000 0.9999 0.6460  6 O 1.97-2.03
20 Ta 0.9952 0.9995 0.1456  6 O 1.92-2.07
21 Ta 0.6707 0.3340 0.1889  6 O 1.94-2.04
22 Ta 0.6673 0.3377 0.9786  6 O 1.93-2.06
23 Ta 0.6660 0.3334 0.4772  6 O 1.99-2.01
24 Ta 0.3328 0.6623 0.0226  6 O 1.94-2.03
25 Ta 0.3330 0.6666 0.5165  6 O 1.93-2.05
26 Ta 0.3330 0.6711 0.3119  6 O 1.94-2.06
27 Ta 0.3331 0.6658 0.8139  6 O 1.94-2.05
28 Si 0.2858 0.9966 0.2492  4 O 1.64-1.65
29 Si 0.7121 0.7121 0.2507  4 O 1.63-1.65
30 Si 0.9974 0.2868 0.2508  4 O 1.63-1.65
31 Si 0.2901 0.2907 0.7507  4 O 1.60-1.67
32 Si 0.0006 0.7102 0.7508  4 O 1.60-1.67
33 Si 0.7105 0.9998 0.7519  4 O 1.60-1.67
34 Si 0.9557 0.3353 0.5851  4 O 1.60-1.67
35 Si 0.3795 0.0437 0.5853  4 O 1.60-1.67
36 Si 0.6637 0.6204 0.5852  4 O 1.60-1.67
37 Si 0.9544 0.6219 0.0835  4 O 1.63-1.65
38 Si 0.6705 0.0474 0.0823  4 O 1.63-1.65
39 Si 0.3797 0.3353 0.0845  4 O 1.63-1.65
40 Si 0.6209 0.6631 0.9169  4 O 1.62-1.66
41 Si 0.0439 0.3783 0.9170  4 O 1.63-1.65
42 Si 0.3311 0.9547 0.9183  4 O 1.63-1.66
43 Si 0.6253 0.9585 0.4160  4 O 1.63-1.65
44 Si 0.3340 0.3763 0.4148  4 O 1.63-1.66
45 Si 0.0422 0.6670 0.4158  4 O 1.63-1.66
46 O 0.1946 0.0336 0.3055  1 Si 1.64
47 O 0.8339 0.8057 0.3076  1 Si 1.63
48 O 0.9717 0.1662 0.3079  1 Si 1.63
49 O 0.1854 0.1658 0.8064  1 Si 1.64
50 O 0.9782 0.8137 0.8065  1 Si 1.64
51 O 0.8301 0.0204 0.8092  1 Si 1.64
52 O 0.8009 0.9648 0.6928  1 Si 1.67
53 O 0.1657 0.2013 0.6916  1 Si 1.67
54 O 0.0359 0.8351 0.6918  1 Si 1.67
55 O 0.8069 0.8333 0.1926  1 Si 1.65
56 O 0.0327 0.1951 0.1933  1 Si 1.65
57 O 0.1716 0.9724 0.1894  1 Si 1.65
58 O 0.8908 0.3812 0.6447  1 Si 1.60
59 O 0.4904 0.1094 0.6447  1 Si 1.60
60 O 0.6184 0.5095 0.6446  1 Si 1.60
61 O 0.8597 0.4997 0.1405  1 Si 1.63
62 O 0.6333 0.1396 0.1386  1 Si 1.64
63 O 0.4950 0.3612 0.1434  1 Si 1.63
64 O 0.4735 0.3013 0.0275  1 Si 1.65
65 O 0.8337 0.5265 0.0257  1 Si 1.64
66 O 0.6945 0.1614 0.0227  1 Si 1.64
67 O 0.4697 0.1719 0.5286  1 Si 1.64
68 O 0.7022 0.5303 0.5286  1 Si 1.64
69 O 0.8275 0.2979 0.5286  1 Si 1.64
70 O 0.5272 0.6999 0.9724  1 Si 1.64
71 O 0.1683 0.4755 0.9731  1 Si 1.63
72 O 0.3063 0.8372 0.9762  1 Si 1.63
73 O 0.5328 0.8417 0.4755  1 Si 1.65
74 O 0.3092 0.4695 0.4743  1 Si 1.66
75 O 0.1593 0.6917 0.4753  1 Si 1.66
76 O 0.1407 0.6396 0.3597  1 Si 1.64
77 O 0.5001 0.8588 0.3598  1 Si 1.64
78 O 0.3599 0.4955 0.3570  1 Si 1.63
79 O 0.1352 0.4958 0.8576  1 Si 1.65
80 O 0.3642 0.8637 0.8595  1 Si 1.66
81 O 0.5035 0.6384 0.8574  1 Si 1.66
82 O 0.0269 0.8383 0.4097  1 Si 1.63
83 O 0.8126 0.9748 0.4104  1 Si 1.63
84 O 0.1627 0.1875 0.4102  1 Si 1.63
85 O 0.0174 0.1854 0.9106  1 Si 1.64
86 O 0.1628 0.9750 0.9106  1 Si 1.63
87 O 0.8066 0.8398 0.9102  1 Si 1.64
88 O 0.9765 0.1615 0.5895  1 Si 1.67
89 O 0.1851 0.0232 0.5895  1 Si 1.67
90 O 0.8382 0.8151 0.5895  1 Si 1.67
91 O 0.9826 0.8157 0.0891  1 Si 1.64
92 O 0.8386 0.0262 0.0897  1 Si 1.63
93 O 0.1923 0.1590 0.0894  1 Si 1.64
94 O 0.6911 0.1660 0.7493  1 Si 1.60
95 O 0.4753 0.3091 0.7488  1 Si 1.60
96 O 0.8334 0.5246 0.7487  1 Si 1.60
97 O 0.6849 0.5183 0.2433  1 Si 1.65
98 O 0.8284 0.3065 0.2428  1 Si 1.63
99 O 0.4740 0.1731 0.2427  1 Si 1.65
100 O 0.6396 0.4941 0.9233  1 Si 1.62
101 O 0.8514 0.3516 0.9228  1 Si 1.64
102 O 0.5079 0.1407 0.9231  1 Si 1.64
103 O 0.6400 0.1454 0.4240  1 Si 1.63
104 O 0.5054 0.3602 0.4243  1 Si 1.64
105 O 0.8548 0.4947 0.4242  1 Si 1.63
106 O 0.3599 0.5045 0.0760  1 Si 1.64
107 O 0.1480 0.6483 0.0767  1 Si 1.65
108 O 0.4934 0.8596 0.0762  1 Si 1.65
109 O 0.3469 0.8475 0.5744  1 Si 1.66
110 O 0.5002 0.6527 0.5743  1 Si 1.66
111 O 0.1524 0.4993 0.5743  1 Si 1.66
112 O 0.3078 0.8285 0.2561  1 Si 1.64
113 O 0.5181 0.6842 0.2561  1 Si 1.64
114 O 0.1740 0.4738 0.2565  1 Si 1.64
115 O 0.2987 0.4778 0.7558  1 Si 1.66
116 O 0.1795 0.7025 0.7565  1 Si 1.66
117 O 0.5220 0.8206 0.7560  1 Si 1.66

Summary:
SG   No. 1

---

No. 6
Here is Eu2Sc2O5 after structural relaxation from the Materials Project database. Energies are from PBE-GGA.

Lattice parameters (Å, degrees): 8.8478 8.8478 8.8478 142.01 140.45 56.00
Last column: nearest neighbours and their distance in Å.
Atoms (fractional coordinates):
1 Eu 0.1351 0.6120 0.5331  6 O 2.46-2.72
2 Eu 0.8649 0.3980 0.4769  6 O 2.46-2.72
3 Eu 0.5789 0.1120 0.4769  6 O 2.46-2.72
4 Eu 0.4211 0.8980 0.5331  6 O 2.46-2.72
5 Sc 0.0000 0.9984 0.9984  6 O 2.08-2.20
6 Sc 0.5000 0.4984 0.9984  6 O 2.08-2.20
7 Sc 0.1805 0.2954 0.9759  4 O 1.97-2.05
8 Sc 0.8195 0.7954 0.1148  4 O 1.97-2.05
9 O 0.2418 0.7388 0.0065  2 Sc 2.08-2.09
10 O 0.7582 0.7647 0.4971  2 Sc 2.08-2.09
11 O 0.2323 0.2388 0.4971  2 Sc 2.08-2.09
12 O 0.7677 0.2647 0.0065  2 Sc 2.08-2.09
13 O 0.2077 0.1145 0.0455  2 Sc 1.97-2.20
14 O 0.7923 0.8379 0.9069  2 Sc 1.97-2.20
15 O 0.5690 0.6145 0.9069  2 Sc 1.97-2.20
16 O 0.4310 0.3379 0.0455  2 Sc 1.97-2.20
17 O 0.1279 0.6470 0.2750  2 Sc 2.03-2.05
18 O 0.8721 0.1470 0.5191  2 Sc 2.03-2.05

Summary:
SG   No. 46

---

| no. | E_form (meV per atom) | final energy (eV per atom) |
| --- | --- | --- |
| 1 | -1370 | -3.71 |
| 2 | -148 | -5.98 |
| 3 | -300 | -7.10 |
| 4 | -2815 | -5.46 |
| 5 | -3101 | -7.86 |
| 6 | -3565 | -9.62 |